Record 1
First-principles (PBE-GGA) data for crystalline CdI2 at its relaxed geometry, as listed in the Materials Project.

Summary:
ΔE_f, eV/atom: -0.839
Symmetry: P3m1
E (MP2020), eV per cell: -103.788

Cell: 4.3340 4.3340 120.7110 Å, 90.00 90.00 120.00°
Fractional coordinates of all 48 atoms:
Cd 0.0000 0.0000 0.0000
Cd 0.0000 0.0000 0.0625
Cd 0.0000 0.0000 0.1874
Cd 0.0000 0.0000 0.3125
Cd 0.0000 0.0000 0.4375
Cd 0.0000 0.0000 0.5625
Cd 0.0000 0.0000 0.6875
Cd 0.0000 0.0000 0.8125
Cd 0.3333 0.6667 0.2500
Cd 0.3333 0.6667 0.3750
Cd 0.3333 0.6667 0.5000
Cd 0.3333 0.6667 0.6250
Cd 0.3333 0.6667 0.7500
Cd 0.3333 0.6667 0.8750
Cd 0.6667 0.3333 0.1250
Cd 0.6667 0.3333 0.9375
I 0.0000 0.0000 0.1393
I 0.0000 0.0000 0.2357
I 0.0000 0.0000 0.3607
I 0.0000 0.0000 0.4857
I 0.0000 0.0000 0.6107
I 0.0000 0.0000 0.7357
I 0.0000 0.0000 0.8607
I 0.0000 0.0000 0.9518
I 0.3333 0.6667 0.0482
I 0.3333 0.6667 0.1107
I 0.3333 0.6667 0.1732
I 0.3333 0.6667 0.2982
I 0.3333 0.6667 0.4232
I 0.3333 0.6667 0.5482
I 0.3333 0.6667 0.6732
I 0.3333 0.6667 0.7982
I 0.3333 0.6667 0.9233
I 0.3333 0.6667 0.9857
I 0.6667 0.3333 0.0143
I 0.6667 0.3333 0.0768
I 0.6667 0.3333 0.2017
I 0.6667 0.3333 0.2643
I 0.6667 0.3333 0.3268
I 0.6667 0.3333 0.3893
I 0.6667 0.3333 0.4518
I 0.6667 0.3333 0.5143
I 0.6667 0.3333 0.5768
I 0.6667 0.3333 0.6393
I 0.6667 0.3333 0.7018
I 0.6667 0.3333 0.7643
I 0.6667 0.3333 0.8268
I 0.6667 0.3333 0.8893

Record 2
First-principles (PBE-GGA) data for crystalline CdI2 at its relaxed geometry, as listed in the Materials Project.

Summary:
ΔE_f, eV/atom: -0.839
Symmetry: P3m1
E (MP2020), eV per cell: -84.346

Cell: 4.3358 4.3358 100.7816 Å, 90.00 90.00 120.00°
Fractional coordinates of all 39 atoms:
Cd 0.0000 0.0000 0.0000
Cd 0.0000 0.0000 0.0768
Cd 0.0000 0.0000 0.1538
Cd 0.0000 0.0000 0.2307
Cd 0.0000 0.0000 0.3846
Cd 0.0000 0.0000 0.6922
Cd 0.0000 0.0000 0.8463
Cd 0.6667 0.3333 0.3076
Cd 0.6667 0.3333 0.4615
Cd 0.6667 0.3333 0.5384
Cd 0.6667 0.3333 0.6154
Cd 0.6667 0.3333 0.7692
Cd 0.6667 0.3333 0.9230
I 0.0000 0.0000 0.3247
I 0.0000 0.0000 0.4786
I 0.0000 0.0000 0.5555
I 0.0000 0.0000 0.6325
I 0.0000 0.0000 0.7863
I 0.0000 0.0000 0.9400
I 0.3333 0.6667 0.0597
I 0.3333 0.6667 0.1368
I 0.3333 0.6667 0.2136
I 0.3333 0.6667 0.2905
I 0.3333 0.6667 0.3676
I 0.3333 0.6667 0.4444
I 0.3333 0.6667 0.5213
I 0.3333 0.6667 0.5983
I 0.3333 0.6667 0.6751
I 0.3333 0.6667 0.7522
I 0.3333 0.6667 0.8292
I 0.3333 0.6667 0.9059
I 0.3333 0.6667 0.9829
I 0.6667 0.3333 0.0171
I 0.6667 0.3333 0.0939
I 0.6667 0.3333 0.1709
I 0.6667 0.3333 0.2478
I 0.6667 0.3333 0.4017
I 0.6667 0.3333 0.7093
I 0.6667 0.3333 0.8633

Record 3
First-principles (PBE-GGA) data for crystalline CdI2 at its relaxed geometry, as listed in the Materials Project.

Summary:
ΔE_f, eV/atom: -0.837
Symmetry: P3m1
E (MP2020), eV per cell: -97.249

Cell: 4.3431 4.3431 110.4033 Å, 90.00 90.00 120.00°
Fractional coordinates of all 45 atoms:
Cd 0.0000 0.0000 0.0000
Cd 0.0000 0.0000 0.0667
Cd 0.0000 0.0000 0.2000
Cd 0.0000 0.0000 0.3333
Cd 0.0000 0.0000 0.4667
Cd 0.0000 0.0000 0.6000
Cd 0.0000 0.0000 0.7333
Cd 0.0000 0.0000 0.8667
Cd 0.6667 0.3333 0.1333
Cd 0.6667 0.3333 0.2667
Cd 0.6667 0.3333 0.4000
Cd 0.6667 0.3333 0.5333
Cd 0.6667 0.3333 0.6667
Cd 0.6667 0.3333 0.8000
Cd 0.6667 0.3333 0.9333
I 0.0000 0.0000 0.1177
I 0.0000 0.0000 0.2510
I 0.0000 0.0000 0.3843
I 0.0000 0.0000 0.5177
I 0.0000 0.0000 0.6510
I 0.0000 0.0000 0.7843
I 0.0000 0.0000 0.9177
I 0.3333 0.6667 0.0157
I 0.3333 0.6667 0.0823
I 0.3333 0.6667 0.1490
I 0.3333 0.6667 0.2157
I 0.3333 0.6667 0.2823
I 0.3333 0.6667 0.3490
I 0.3333 0.6667 0.4157
I 0.3333 0.6667 0.4823
I 0.3333 0.6667 0.5490
I 0.3333 0.6667 0.6157
I 0.3333 0.6667 0.6823
I 0.3333 0.6667 0.7490
I 0.3333 0.6667 0.8157
I 0.3333 0.6667 0.8823
I 0.3333 0.6667 0.9490
I 0.6667 0.3333 0.0510
I 0.6667 0.3333 0.1843
I 0.6667 0.3333 0.3177
I 0.6667 0.3333 0.4510
I 0.6667 0.3333 0.5844
I 0.6667 0.3333 0.7177
I 0.6667 0.3333 0.8510
I 0.6667 0.3333 0.9843

Record 4
First-principles (PBE-GGA) data for crystalline CdI2 at its relaxed geometry, as listed in the Materials Project.

Summary:
ΔE_f, eV/atom: -0.830
Symmetry: R3m
E (MP2020), eV per cell: -32.309

Cell: 36.4277 36.4277 36.4277 Å, 6.86 6.86 6.86°
Fractional coordinates of all 15 atoms:
Cd 0.0000 0.0000 0.0000
Cd 0.0667 0.0667 0.0667
Cd 0.4667 0.4667 0.4667
Cd 0.6000 0.6000 0.6000
Cd 0.8666 0.8666 0.8666
I 0.1176 0.1176 0.1176
I 0.1842 0.1842 0.1842
I 0.2509 0.2509 0.2509
I 0.3176 0.3176 0.3176
I 0.3842 0.3842 0.3842
I 0.5491 0.5491 0.5491
I 0.6824 0.6824 0.6824
I 0.7491 0.7491 0.7491
I 0.8158 0.8158 0.8158
I 0.9491 0.9491 0.9491